# CuBr4N2O2 | the Materials Project database | PBE | relaxed
data_CuBr4N2O2
_chemical_formula_sum 'Cu1 Br4 N2 O2'
_symmetry_space_group_name_H-M 'P 1'
_symmetry_Int_Tables_number 1
_symmetry_space_group_name_Hall 'P 1'
_cell_length_a 6.830
_cell_length_b 6.830
_cell_length_c 6.830
_cell_angle_alpha 109.50
_cell_angle_beta 109.50
_cell_angle_gamma 109.42
loop_
_atom_site_label
_atom_site_type_symbol
_atom_site_fract_x
_atom_site_fract_y
_atom_site_fract_z
_atom_site_occupancy
Cu1 Cu 0.000 0.000 0.000 1
Br1 Br 0.206 0.206 0.412 1
Br2 Br 0.206 0.794 0.000 1
Br3 Br 0.794 0.206 0.000 1
Br4 Br 0.794 0.794 0.588 1
N1 N 0.250 0.750 0.500 1
N2 N 0.750 0.250 0.500 1
O1 O 0.422 0.422 0.000 1
O2 O 0.578 0.578 0.000 1
# Volume (Å³ per cell): 245.24
# Energy of formation (eV per formula unit): 10.054